[1]
A plane-wave DFT calculation with PBE+U was carried out for a relaxed structure of Li6MnV3P6O24.

```
Li6MnV3P6O24
1.0
8.679 0.000 0.000
-4.186 7.653 0.000
-4.338 -2.593 7.180
Li Mn V P O
6 1 3 6 24
direct
0.000 0.000 0.000
0.076 0.472 0.119
0.346 0.848 0.848
0.731 0.457 0.700
0.837 0.731 0.378
0.918 0.148 0.388
0.657 0.263 0.089
0.228 0.962 0.382
0.233 0.466 0.885
0.650 0.752 0.585
0.142 0.058 0.691
0.156 0.581 0.490
0.432 0.357 0.263
0.461 0.862 0.209
0.736 0.157 0.786
0.739 0.640 0.987
0.098 0.726 0.444
0.102 0.037 0.493
0.129 0.223 0.729
0.209 0.589 0.687
0.278 0.404 0.118
0.283 0.163 0.256
0.302 0.708 0.015
0.318 0.867 0.260
0.346 0.634 0.478
0.352 0.082 0.841
0.525 0.120 0.623
0.545 0.591 0.985
0.585 0.503 0.461
0.587 0.371 0.215
0.604 0.044 0.191
0.620 0.823 0.358
0.716 0.658 0.802
0.756 0.170 0.975
0.771 0.002 0.761
0.790 0.491 0.021
0.917 0.351 0.813
0.929 0.834 0.139
0.960 0.873 0.673
0.972 0.384 0.347
```

Computed properties:
Size of the total moment: 10.00 μB per formula unit
Space-group type: P1, No. 1
Energy of formation from the pure elements: -106.4 eV/f.u.
Calculated total energy: -0.5187 Ry/atom
ΔE to the lowest computed polymorph: 25.2 meV per atom



[2]
A plane-wave DFT calculation with PBE+U was carried out for a relaxed structure of Li3MnVP3O12.

```
Li3MnVP3O12
1.0
7.548 -4.407 0.000
7.548 4.407 0.000
-4.886 0.000 7.141
Li Mn V P O
6 2 2 6 24
direct
0.077 0.923 0.500
0.196 0.454 0.543
0.454 0.196 0.043
0.466 0.774 0.965
0.774 0.466 0.465
0.923 0.077 0.000
0.165 0.662 0.929
0.662 0.165 0.429
0.458 0.962 0.650
0.962 0.458 0.150
0.062 0.285 0.744
0.285 0.062 0.244
0.340 0.568 0.327
0.568 0.340 0.827
0.765 0.865 0.047
0.865 0.765 0.547
0.053 0.750 0.715
0.060 0.336 0.938
0.092 0.216 0.209
0.100 0.434 0.730
0.196 0.521 0.339
0.216 0.092 0.709
0.267 0.879 0.082
0.287 0.557 0.124
0.332 0.765 0.472
0.336 0.060 0.438
0.426 0.537 0.869
0.434 0.100 0.230
0.521 0.196 0.839
0.537 0.426 0.369
0.557 0.287 0.624
0.570 0.888 0.891
0.700 0.804 0.598
0.750 0.053 0.215
0.765 0.332 0.972
0.804 0.700 0.098
0.846 0.917 0.491
0.879 0.267 0.582
0.888 0.570 0.391
0.917 0.846 0.991
```

Computed properties:
Size of the total moment: 6.00 μB per formula unit
Space-group type: Cc, No. 9
Energy of formation from the pure elements: -52.4 eV/f.u.
Calculated total energy: -0.5159 Ry/atom
ΔE to the lowest computed polymorph: 35.0 meV per atom



[3]
A plane-wave DFT calculation with PBE+U was carried out for a relaxed structure of Li3MnVP3O12.

```
Li3MnVP3O12
1.0
8.383 0.000 0.000
-4.154 7.356 0.000
-4.083 -2.490 7.820
Li Mn V P O
6 2 2 6 24
direct
0.000 0.000 0.000
0.005 0.810 0.558
0.199 0.400 0.288
0.617 0.149 0.291
0.742 0.337 0.009
0.834 0.828 0.231
0.111 0.234 0.593
0.517 0.924 0.716
0.126 0.729 0.111
0.497 0.423 0.187
0.005 0.540 0.399
0.021 0.331 0.902
0.307 0.118 0.394
0.318 0.034 0.907
0.591 0.812 0.403
0.608 0.611 0.902
0.017 0.306 0.737
0.069 0.552 0.257
0.113 0.548 0.981
0.117 0.915 0.244
0.167 0.907 0.973
0.169 0.282 0.044
0.176 0.049 0.739
0.183 0.202 0.403
0.189 0.700 0.567
0.426 0.466 0.731
0.431 0.089 0.559
0.435 0.948 0.887
0.446 0.873 0.271
0.453 0.241 0.326
0.484 0.596 0.330
0.502 0.231 0.051
0.543 0.586 0.041
0.610 0.852 0.576
0.698 0.822 0.905
0.801 0.206 0.885
0.804 0.588 0.973
0.813 0.924 0.419
0.824 0.578 0.340
0.927 0.337 0.409
```

Computed properties:
Size of the total moment: 6.00 μB per formula unit
Space-group type: P1, No. 1
Energy of formation from the pure elements: -52.5 eV/f.u.
Calculated total energy: -0.5162 Ry/atom
ΔE to the lowest computed polymorph: 31.6 meV per atom



[4]
A plane-wave DFT calculation with PBE+U was carried out for a relaxed structure of Li3MnVP3O12.

```
Li3MnVP3O12
1.0
7.317 -6.652 0.000
7.317 6.652 0.000
-0.681 0.000 9.783
Li Mn V P O
12 4 4 12 48
direct
0.050 0.582 0.823
0.062 0.426 0.177
0.117 0.117 0.018
0.230 0.430 0.461
0.284 0.217 0.250
0.418 0.950 0.177
0.539 0.187 0.384
0.570 0.770 0.539
0.574 0.938 0.823
0.783 0.716 0.750
0.813 0.461 0.616
0.883 0.883 0.982
0.040 0.960 0.500
0.059 0.178 0.723
0.327 0.673 0.000
0.822 0.941 0.277
0.262 0.738 0.500
0.548 0.233 0.783
0.551 0.449 0.000
0.767 0.452 0.217
0.113 0.855 0.798
0.145 0.887 0.202
0.248 0.364 0.933
0.352 0.045 0.578
0.456 0.522 0.302
0.478 0.544 0.698
0.622 0.148 0.099
0.636 0.752 0.067
0.742 0.019 0.592
0.852 0.378 0.901
0.955 0.648 0.422
0.981 0.258 0.408
0.091 0.009 0.842
0.105 0.311 0.346
0.115 0.617 0.441
0.121 0.832 0.635
0.168 0.879 0.365
0.188 0.315 0.795
0.194 0.081 0.596
0.197 0.298 0.057
0.203 0.749 0.145
0.210 0.522 0.944
0.220 0.008 0.160
0.251 0.797 0.855
0.341 0.601 0.632
0.383 0.885 0.559
0.389 0.114 0.453
0.394 0.398 0.351
0.399 0.659 0.368
0.409 0.329 0.929
0.424 0.527 0.141
0.429 0.085 0.714
0.473 0.576 0.859
0.478 0.790 0.056
0.485 0.386 0.671
0.507 0.115 0.186
0.593 0.113 0.944
0.602 0.606 0.649
0.614 0.515 0.329
0.636 0.306 0.126
0.671 0.591 0.071
0.683 0.154 0.663
0.685 0.812 0.205
0.689 0.895 0.654
0.694 0.364 0.874
0.702 0.803 0.943
0.706 0.028 0.436
0.761 0.070 0.137
0.846 0.317 0.337
0.885 0.493 0.814
0.886 0.611 0.547
0.887 0.407 0.056
0.900 0.019 0.623
0.915 0.571 0.286
0.919 0.806 0.404
0.930 0.239 0.863
0.972 0.294 0.564
0.981 0.100 0.377
0.991 0.909 0.158
0.992 0.780 0.840
```

Computed properties:
Size of the total moment: 6.00 μB per formula unit
Space-group type: C2, No. 5
Energy of formation from the pure elements: -52.0 eV/f.u.
Calculated total energy: -0.5143 Ry/atom
ΔE to the lowest computed polymorph: 56.3 meV per atom



[5]
A plane-wave DFT calculation with PBE+U was carried out for a relaxed structure of Li3MnVP3O12.

```
Li3MnVP3O12
1.0
8.446 0.000 0.000
-4.034 7.992 0.000
-0.112 -4.560 13.969
Li Mn V P O
12 4 4 12 48
direct
0.000 0.000 0.000
0.013 0.702 0.164
0.032 0.001 0.371
0.053 0.699 0.465
0.460 0.000 0.200
0.482 0.701 0.293
0.501 0.999 0.500
0.515 0.702 0.665
0.531 0.997 0.871
0.553 0.701 0.965
0.962 0.001 0.701
0.983 0.700 0.793
0.038 0.413 0.256
0.479 0.290 0.408
0.735 0.807 0.158
0.979 0.288 0.906
0.236 0.805 0.658
0.279 0.896 0.006
0.539 0.415 0.759
0.782 0.898 0.508
0.174 0.102 0.208
0.234 0.100 0.563
0.239 0.102 0.852
0.277 0.598 0.101
0.278 0.600 0.811
0.345 0.601 0.458
0.674 0.101 0.708
0.729 0.096 0.062
0.737 0.105 0.353
0.780 0.600 0.310
0.780 0.601 0.603
0.843 0.599 0.957
0.004 0.951 0.229
0.016 0.751 0.936
0.037 0.045 0.581
0.080 0.118 0.900
0.143 0.950 0.754
0.144 0.425 0.026
0.145 0.431 0.825
0.165 0.276 0.235
0.184 0.661 0.748
0.188 0.046 0.100
0.188 0.589 0.397
0.230 0.751 0.099
0.252 0.111 0.460
0.257 0.587 0.204
0.280 0.947 0.565
0.329 0.657 0.566
0.333 0.044 0.915
0.336 0.121 0.269
0.352 0.426 0.431
0.364 0.270 0.639
0.372 0.753 0.909
0.373 0.271 0.835
0.439 0.588 0.764
0.471 0.651 0.082
0.500 0.949 0.728
0.519 0.752 0.437
0.532 0.040 0.080
0.578 0.122 0.402
0.637 0.949 0.257
0.643 0.433 0.325
0.653 0.430 0.528
0.664 0.271 0.733
0.685 0.584 0.894
0.687 0.661 0.246
0.691 0.045 0.600
0.736 0.755 0.601
0.749 0.101 0.958
0.757 0.587 0.705
0.773 0.940 0.064
0.825 0.654 0.064
0.829 0.043 0.417
0.832 0.117 0.771
0.849 0.424 0.929
0.857 0.267 0.136
0.872 0.273 0.337
0.875 0.753 0.409
0.940 0.583 0.264
0.978 0.657 0.587
```

Computed properties:
Size of the total moment: 6.00 μB per formula unit
Space-group type: P1, No. 1
Energy of formation from the pure elements: -52.7 eV/f.u.
Calculated total energy: -0.5171 Ry/atom
ΔE to the lowest computed polymorph: 18.4 meV per atom



[6]
A plane-wave DFT calculation with PBE+U was carried out for a relaxed structure of Li6MnV3P6O24.

```
Li6MnV3P6O24
1.0
6.364 0.000 0.000
2.375 8.295 0.000
1.615 2.757 16.356
Li Mn V P O
12 2 6 12 48
direct
0.000 0.000 0.000
0.000 0.001 0.499
0.004 0.496 0.246
0.145 0.212 0.606
0.358 0.787 0.894
0.500 0.506 0.251
0.502 0.000 0.000
0.502 0.001 0.499
0.505 0.493 0.747
0.647 0.213 0.105
0.857 0.790 0.392
0.997 0.506 0.753
0.147 0.876 0.221
0.808 0.557 0.061
0.204 0.441 0.938
0.299 0.557 0.560
0.363 0.124 0.278
0.639 0.880 0.721
0.701 0.444 0.439
0.864 0.120 0.778
0.144 0.214 0.107
0.183 0.839 0.681
0.218 0.363 0.419
0.287 0.634 0.079
0.319 0.161 0.818
0.358 0.788 0.392
0.644 0.214 0.606
0.684 0.840 0.182
0.720 0.362 0.917
0.784 0.638 0.580
0.818 0.165 0.319
0.859 0.784 0.893
0.012 0.512 0.580
0.052 0.113 0.277
0.091 0.672 0.878
0.110 0.039 0.120
0.128 0.547 0.047
0.154 0.160 0.755
0.193 0.763 0.335
0.195 0.956 0.601
0.220 0.647 0.171
0.222 0.655 0.671
0.228 0.204 0.478
0.250 0.235 0.019
0.251 0.763 0.480
0.274 0.795 0.022
0.281 0.344 0.327
0.281 0.345 0.827
0.303 0.244 0.163
0.307 0.044 0.897
0.348 0.840 0.744
0.377 0.451 0.449
0.389 0.963 0.381
0.413 0.329 0.620
0.448 0.905 0.226
0.492 0.488 0.919
0.518 0.511 0.079
0.553 0.101 0.774
0.588 0.673 0.378
0.614 0.038 0.618
0.624 0.550 0.550
0.655 0.161 0.256
0.695 0.955 0.102
0.698 0.758 0.835
0.715 0.657 0.176
0.721 0.657 0.672
0.728 0.204 0.977
0.750 0.237 0.518
0.751 0.759 0.981
0.771 0.349 0.329
0.775 0.796 0.522
0.776 0.341 0.825
0.805 0.241 0.664
0.807 0.045 0.398
0.853 0.841 0.244
0.885 0.446 0.943
0.885 0.961 0.882
0.910 0.330 0.118
0.950 0.899 0.725
0.990 0.488 0.420
```

Computed properties:
Size of the total moment: 10.00 μB per formula unit
Space-group type: P1, No. 1
Energy of formation from the pure elements: -106.0 eV/f.u.
Calculated total energy: -0.5178 Ry/atom
ΔE to the lowest computed polymorph: 37.3 meV per atom



What did the second record say?
A plane-wave DFT calculation with PBE+U was carried out for a relaxed structure of Li3MnVP3O12.

```
Li3MnVP3O12
1.0
7.548 -4.407 0.000
7.548 4.407 0.000
-4.886 0.000 7.141
Li Mn V P O
6 2 2 6 24
direct
0.077 0.923 0.500
0.196 0.454 0.543
0.454 0.196 0.043
0.466 0.774 0.965
0.774 0.466 0.465
0.923 0.077 0.000
0.165 0.662 0.929
0.662 0.165 0.429
0.458 0.962 0.650
0.962 0.458 0.150
0.062 0.285 0.744
0.285 0.062 0.244
0.340 0.568 0.327
0.568 0.340 0.827
0.765 0.865 0.047
0.865 0.765 0.547
0.053 0.750 0.715
0.060 0.336 0.938
0.092 0.216 0.209
0.100 0.434 0.730
0.196 0.521 0.339
0.216 0.092 0.709
0.267 0.879 0.082
0.287 0.557 0.124
0.332 0.765 0.472
0.336 0.060 0.438
0.426 0.537 0.869
0.434 0.100 0.230
0.521 0.196 0.839
0.537 0.426 0.369
0.557 0.287 0.624
0.570 0.888 0.891
0.700 0.804 0.598
0.750 0.053 0.215
0.765 0.332 0.972
0.804 0.700 0.098
0.846 0.917 0.491
0.879 0.267 0.582
0.888 0.570 0.391
0.917 0.846 0.991
```

Computed properties:
Size of the total moment: 6.00 μB per formula unit
Space-group type: Cc, No. 9
Energy of formation from the pure elements: -52.4 eV/f.u.
Calculated total energy: -0.5159 Ry/atom
ΔE to the lowest computed polymorph: 35.0 meV per atom